First-principles (GGA+U) data for crystalline CaTbEuVO6 at its relaxed geometry, as listed in the Materials Project.

```
data_CaTbEuVO6
_chemical_formula_sum 'Ca4 Tb4 Eu4 V4 O24'
_cell_length_a 8.235
_cell_length_b 8.235
_cell_length_c 8.235
_cell_angle_alpha 90.00
_cell_angle_beta 90.00
_cell_angle_gamma 90.00
_space_group_name_H-M_alt 'F -4 3 m'
_space_group_IT_number 216
_space_group_name_Hall 'F -4 2 3'
loop_
_atom_site_label
_atom_site_fract_x
_atom_site_fract_y
_atom_site_fract_z
Ca1 0.000 0.000 0.000
Tb1 0.250 0.250 0.750
Eu1 0.000 0.000 0.500
V1 0.250 0.250 0.250
O1 0.019 0.250 0.250
```

E_form: -3.074 eV per atom
Total energy after the MP2020 corrections: -86.41 eV per formula unit
Size of the total moment: 28.000 μB/cell
Distance to the lowest polymorph of the same formula: 0.00 eV per formula unit
Theoretical density: 5.9 g cm⁻³

=====

First-principles (GGA+U) data for crystalline CaTbEuVO6 at its relaxed geometry, as listed in the Materials Project.

```
data_CaTbEuVO6
_chemical_formula_sum 'Ca4 Tb4 Eu4 V4 O24'
_cell_length_a 8.958
_cell_length_b 9.141
_cell_length_c 9.327
_cell_angle_alpha 90.00
_cell_angle_beta 90.00
_cell_angle_gamma 90.00
_space_group_name_H-M_alt 'P 2 2 2'
_space_group_IT_number 16
_space_group_name_Hall 'P 2 2'
loop_
_atom_site_label
_atom_site_fract_x
_atom_site_fract_y
_atom_site_fract_z
Ca1 0.000 0.000 0.000
Ca2 0.000 0.000 0.500
Ca3 0.000 0.500 0.000
Ca4 0.500 0.500 0.500
Tb1 0.245 0.253 0.747
Eu1 0.000 0.500 0.500
Eu2 0.500 0.000 0.000
Eu3 0.500 0.000 0.500
Eu4 0.500 0.500 0.000
V1 0.247 0.252 0.251
O1 0.019 0.209 0.286
O2 0.209 0.285 0.019
O3 0.215 0.480 0.292
O4 0.285 0.019 0.209
O5 0.290 0.216 0.480
O6 0.481 0.290 0.215
```

E_form: -2.280 eV per atom
Total energy after the MP2020 corrections: -78.47 eV per formula unit
Size of the total moment: 7.436 μB/cell
Distance to the lowest polymorph of the same formula: 7.94 eV per formula unit
Theoretical density: 4.3 g cm⁻³

=====

First-principles (GGA+U) data for crystalline CaEuV4O12 at its relaxed geometry, as listed in the Materials Project.

```
data_CaEuV4O12
_chemical_formula_sum 'Ca1 Eu1 V4 O12'
_cell_length_a 5.329
_cell_length_b 5.329
_cell_length_c 7.541
_cell_angle_alpha 90.00
_cell_angle_beta 90.00
_cell_angle_gamma 90.00
_space_group_name_H-M_alt 'P 4/m m m'
_space_group_IT_number 123
_space_group_name_Hall '-P 4 2'
loop_
_atom_site_label
_atom_site_fract_x
_atom_site_fract_y
_atom_site_fract_z
Ca1 0.000 0.000 0.000
Eu1 0.500 0.500 0.500
V1 0.000 0.500 0.249
O1 0.000 0.500 0.000
O2 0.000 0.500 0.500
O3 0.250 0.250 0.250
```

E_form: -2.553 eV per atom
Total energy after the MP2020 corrections: -153.92 eV per formula unit
Size of the total moment: 6.963 μB/cell
Theoretical density: 4.6 g cm⁻³

=====

Please write out number 2 again, unchanged.
First-principles (GGA+U) data for crystalline CaTbEuVO6 at its relaxed geometry, as listed in the Materials Project.

```
data_CaTbEuVO6
_chemical_formula_sum 'Ca4 Tb4 Eu4 V4 O24'
_cell_length_a 8.958
_cell_length_b 9.141
_cell_length_c 9.327
_cell_angle_alpha 90.00
_cell_angle_beta 90.00
_cell_angle_gamma 90.00
_space_group_name_H-M_alt 'P 2 2 2'
_space_group_IT_number 16
_space_group_name_Hall 'P 2 2'
loop_
_atom_site_label
_atom_site_fract_x
_atom_site_fract_y
_atom_site_fract_z
Ca1 0.000 0.000 0.000
Ca2 0.000 0.000 0.500
Ca3 0.000 0.500 0.000
Ca4 0.500 0.500 0.500
Tb1 0.245 0.253 0.747
Eu1 0.000 0.500 0.500
Eu2 0.500 0.000 0.000
Eu3 0.500 0.000 0.500
Eu4 0.500 0.500 0.000
V1 0.247 0.252 0.251
O1 0.019 0.209 0.286
O2 0.209 0.285 0.019
O3 0.215 0.480 0.292
O4 0.285 0.019 0.209
O5 0.290 0.216 0.480
O6 0.481 0.290 0.215
```

E_form: -2.280 eV per atom
Total energy after the MP2020 corrections: -78.47 eV per formula unit
Size of the total moment: 7.436 μB/cell
Distance to the lowest polymorph of the same formula: 7.94 eV per formula unit
Theoretical density: 4.3 g cm⁻³